This record from the Materials Project describes a geometry-optimized Ca4ZnCoSi4O14 structure. The functional is PBE+U.

Cell lengths 7.909, 12.848, 12.848 Å; angles 104.02, 90.00, 90.00 degrees
Positions (direct):
O 0.500 0.704 0.296
O 0.814 0.486 0.597
O 0.582 0.102 0.212
O 0.642 0.634 0.508
O 0.000 0.046 0.454
O 0.917 0.462 0.352
O 0.314 0.514 0.904
O 0.141 0.366 0.992
O 0.686 0.846 0.736
O 0.686 0.596 0.986
O 0.917 0.212 0.602
O 0.418 0.288 0.398
O 0.314 0.014 0.404
O 0.314 0.764 0.654
O 0.814 0.986 0.097
O 0.500 0.454 0.546
O 0.186 0.653 0.264
O 0.582 0.352 0.962
O 0.141 0.616 0.742
O 0.500 0.954 0.046
O 0.358 0.992 0.866
O 0.859 0.508 0.134
O 0.814 0.236 0.847
O 0.141 0.116 0.242
O 0.186 0.903 0.014
O 0.000 0.796 0.704
O 0.083 0.898 0.288
O 0.418 0.788 0.898
O 0.686 0.096 0.486
O 0.859 0.258 0.384
O 0.686 0.346 0.236
O 0.358 0.242 0.616
O 0.582 0.852 0.462
O 0.642 0.884 0.258
O 0.917 0.962 0.852
O 0.917 0.712 0.102
O 0.859 0.758 0.884
O 0.186 0.153 0.764
O 0.000 0.546 0.954
O 0.083 0.148 0.038
O 0.418 0.538 0.148
O 0.186 0.403 0.514
O 0.358 0.742 0.116
O 0.642 0.384 0.758
O 0.358 0.492 0.366
O 0.418 0.038 0.648
O 0.814 0.736 0.347
O 0.859 0.008 0.634
O 0.000 0.296 0.204
O 0.083 0.648 0.538
O 0.582 0.602 0.712
O 0.141 0.866 0.492
O 0.500 0.204 0.796
O 0.314 0.264 0.154
O 0.642 0.134 0.008
O 0.083 0.398 0.788
Co 0.000 0.000 0.000
Co 0.000 0.250 0.750
Co 0.000 0.500 0.500
Co 0.000 0.750 0.250
Ca 0.169 0.711 0.959
Ca 0.330 0.959 0.210
Ca 0.330 0.209 0.960
Ca 0.670 0.540 0.291
Ca 0.831 0.291 0.039
Ca 0.169 0.961 0.709
Ca 0.169 0.211 0.459
Ca 0.831 0.541 0.789
Ca 0.169 0.461 0.209
Ca 0.670 0.790 0.041
Ca 0.330 0.709 0.460
Ca 0.831 0.041 0.289
Ca 0.831 0.791 0.539
Ca 0.330 0.459 0.710
Ca 0.670 0.040 0.791
Ca 0.669 0.290 0.541
Si 0.859 0.337 0.304
Si 0.641 0.554 0.587
Si 0.359 0.663 0.196
Si 0.859 0.087 0.554
Si 0.359 0.413 0.446
Si 0.141 0.196 0.163
Si 0.641 0.054 0.087
Si 0.359 0.913 0.946
Si 0.359 0.163 0.696
Si 0.859 0.587 0.054
Si 0.141 0.946 0.413
Si 0.641 0.304 0.837
Si 0.141 0.446 0.913
Si 0.141 0.696 0.663
Si 0.859 0.837 0.804
Si 0.641 0.804 0.337
Zn 0.500 0.000 0.500
Zn 0.500 0.500 0.000
Zn 0.500 0.250 0.250
Zn 0.500 0.750 0.750

Properties
The value obtained for the energy of formation from the pure elements is -71.8 kcal/mol of atoms. The value obtained for the calculated total energy is -7.1170 eV/atom.